A plane-wave DFT calculation with GGA-PBE was carried out for a relaxed LaSe crystal.

The value obtained for the total magnetic moment is 0.000 μB per formula unit. Its energy of formation is -1.989 eV per atom. As for the energy: -5.97 eV per atom.

The space group is P-1 (No. 2) and the conventional cell measures 4.215, 4.216 and 35.585 Å, with angles of 90.31, 90.42 and 90.10 degrees. Symmetry generates all atoms from La at (0.038, 0.299, 0.215), La at (0.455, 0.199, 0.713), Se at (0.046, 0.301, 0.301) and Se at (0.462, 0.202, 0.799).